(1)
VASP calculation (PBE) on a geometry-optimized LaAlCu4 structure.

Output
formation energy: -0.214 eV per atom
E_tot: -26.362 eV per cell
space-group type: P-6m2, No. 187
calculated density: 7.04 g/cm³
crystal system: hexagonal

Cell lengths 5.3337, 5.3337, 4.0213 Å; angles 90.00, 90.00, 120.00 degrees
Positions (direct):
La (0.0000, 0.0000, 0.0000)
Al (0.6667, 0.3333, 0.0000)
Cu (0.0022, 0.5011, 0.5000)
Cu (0.3333, 0.6667, 0.0000)
Cu (0.4989, 0.5011, 0.5000)
Cu (0.4989, 0.9978, 0.5000)

(2)
VASP calculation (PBE) on a geometry-optimized K3Nb3B2O12 structure.

Output
formation energy: -2.881 eV per atom
E_tot: -622.946 eV per cell
space-group type: Pmc2_1, No. 26
calculated density: 3.64 g/cm³
crystal system: orthorhombic

Cell lengths 15.4313, 4.0502, 17.8054 Å; angles 90.00, 90.00, 90.00 degrees
Positions (direct):
K (0.0000, 0.0068, 0.0000)
K (0.0000, 0.9932, 0.5000)
K (0.2015, 0.0086, 0.6972)
K (0.2015, 0.9914, 0.1972)
K (0.2983, 0.0031, 0.9474)
K (0.2983, 0.9969, 0.4474)
K (0.5000, 0.0147, 0.7500)
K (0.5000, 0.9853, 0.2500)
K (0.7017, 0.0031, 0.9474)
K (0.7017, 0.9969, 0.4474)
K (0.7985, 0.0086, 0.6972)
K (0.7985, 0.9914, 0.1972)
Nb (0.0000, 0.4784, 0.1745)
Nb (0.0000, 0.5216, 0.6745)
Nb (0.1236, 0.4757, 0.3601)
Nb (0.1236, 0.5243, 0.8601)
Nb (0.3765, 0.4645, 0.1101)
Nb (0.3765, 0.5355, 0.6101)
Nb (0.5000, 0.4573, 0.4247)
Nb (0.5000, 0.5427, 0.9247)
Nb (0.6235, 0.4645, 0.1101)
Nb (0.6235, 0.5355, 0.6101)
Nb (0.8764, 0.4757, 0.3601)
Nb (0.8764, 0.5243, 0.8601)
B (0.1667, 0.4966, 0.5482)
B (0.1667, 0.5034, 0.0482)
B (0.3333, 0.4909, 0.7983)
B (0.3333, 0.5091, 0.2983)
B (0.6667, 0.4909, 0.7983)
B (0.6667, 0.5091, 0.2983)
B (0.8333, 0.4966, 0.5482)
B (0.8333, 0.5034, 0.0482)
O (0.0000, 0.0207, 0.1671)
O (0.0000, 0.4889, 0.8880)
O (0.0000, 0.5111, 0.3880)
O (0.0000, 0.9793, 0.6671)
O (0.0896, 0.4874, 0.7534)
O (0.0896, 0.5126, 0.2534)
O (0.0940, 0.4760, 0.5928)
O (0.0940, 0.5240, 0.0928)
O (0.1308, 0.0182, 0.3636)
O (0.1308, 0.9818, 0.8636)
O (0.1582, 0.4792, 0.9714)
O (0.1582, 0.5208, 0.4714)
O (0.2478, 0.4932, 0.5804)
O (0.2478, 0.5068, 0.0804)
O (0.2522, 0.4800, 0.8305)
O (0.2522, 0.5200, 0.3305)
O (0.3416, 0.4913, 0.7213)
O (0.3416, 0.5087, 0.2213)
O (0.3692, 0.0069, 0.1135)
O (0.3692, 0.9931, 0.6135)
O (0.4060, 0.4998, 0.3430)
O (0.4060, 0.5002, 0.8430)
O (0.4104, 0.4959, 0.5035)
O (0.4104, 0.5041, 0.0035)
O (0.5000, 0.9996, 0.4174)
O (0.5000, 0.0004, 0.9174)
O (0.5000, 0.4997, 0.1382)
O (0.5000, 0.5003, 0.6382)
O (0.5896, 0.4959, 0.5035)
O (0.5896, 0.5041, 0.0035)
O (0.5940, 0.4998, 0.3430)
O (0.5940, 0.5002, 0.8430)
O (0.6308, 0.0069, 0.1135)
O (0.6308, 0.9931, 0.6135)
O (0.6584, 0.4913, 0.7213)
O (0.6584, 0.5087, 0.2213)
O (0.7478, 0.4800, 0.8305)
O (0.7478, 0.5200, 0.3305)
O (0.7522, 0.4932, 0.5804)
O (0.7522, 0.5068, 0.0804)
O (0.8418, 0.4792, 0.9714)
O (0.8418, 0.5208, 0.4714)
O (0.8692, 0.0182, 0.3636)
O (0.8692, 0.9818, 0.8636)
O (0.9060, 0.4760, 0.5928)
O (0.9060, 0.5240, 0.0928)
O (0.9104, 0.4874, 0.7534)
O (0.9104, 0.5126, 0.2534)

(3)
VASP calculation (PBE) on a geometry-optimized BaNa2Nd2Si4CO15 structure.

Output
formation energy: -3.182 eV per atom
E_tot: -753.933 eV per cell
space-group type: Pnma, No. 62
calculated density: 4.07 g/cm³
crystal system: orthorhombic

Cell lengths 14.1871, 13.6126, 7.0576 Å; angles 90.00, 90.00, 90.00 degrees
Positions (direct):
Ba (0.1406, 0.2500, 0.0894)
Ba (0.3594, 0.7500, 0.5894)
Ba (0.6406, 0.2500, 0.4106)
Ba (0.8594, 0.7500, 0.9106)
Na (0.0293, 0.0372, 0.2360)
Na (0.0293, 0.4628, 0.2360)
Na (0.4707, 0.5372, 0.7360)
Na (0.4707, 0.9628, 0.7360)
Na (0.5293, 0.0372, 0.2640)
Na (0.5293, 0.4628, 0.2640)
Na (0.9707, 0.5372, 0.7640)
Na (0.9707, 0.9628, 0.7640)
Nd (0.2125, 0.5572, 0.8810)
Nd (0.2125, 0.9428, 0.8810)
Nd (0.2875, 0.0572, 0.3810)
Nd (0.2875, 0.4428, 0.3810)
Nd (0.7125, 0.5572, 0.6190)
Nd (0.7125, 0.9428, 0.6190)
Nd (0.7875, 0.0572, 0.1190)
Nd (0.7875, 0.4428, 0.1190)
Si (0.0744, 0.1371, 0.6191)
Si (0.0744, 0.3629, 0.6191)
Si (0.1495, 0.6334, 0.3815)
Si (0.1495, 0.8666, 0.3815)
Si (0.3505, 0.1334, 0.8815)
Si (0.3505, 0.3666, 0.8815)
Si (0.4256, 0.6371, 0.1191)
Si (0.4256, 0.8629, 0.1191)
Si (0.5744, 0.1371, 0.8809)
Si (0.5744, 0.3629, 0.8809)
Si (0.6495, 0.6334, 0.1185)
Si (0.6495, 0.8666, 0.1185)
Si (0.8505, 0.1334, 0.6185)
Si (0.8505, 0.3666, 0.6185)
Si (0.9256, 0.6371, 0.3809)
Si (0.9256, 0.8629, 0.3809)
C (0.0985, 0.7500, 0.8794)
C (0.4015, 0.2500, 0.3794)
C (0.5985, 0.7500, 0.6206)
C (0.9015, 0.2500, 0.1206)
O (0.0380, 0.6172, 0.4433)
O (0.0380, 0.8828, 0.4433)
O (0.0541, 0.6667, 0.8857)
O (0.0541, 0.8333, 0.8857)
O (0.0817, 0.2500, 0.7073)
O (0.1005, 0.0641, 0.7933)
O (0.1005, 0.4359, 0.7933)
O (0.1339, 0.1252, 0.4240)
O (0.1339, 0.3748, 0.4240)
O (0.1682, 0.7500, 0.3309)
O (0.1727, 0.5608, 0.2045)
O (0.1727, 0.9392, 0.2045)
O (0.1904, 0.7500, 0.8688)
O (0.2212, 0.6004, 0.5510)
O (0.2212, 0.8996, 0.5510)
O (0.2788, 0.1004, 0.0510)
O (0.2788, 0.3996, 0.0510)
O (0.3096, 0.2500, 0.3688)
O (0.3273, 0.0608, 0.7045)
O (0.3273, 0.4392, 0.7045)
O (0.3318, 0.2500, 0.8309)
O (0.3661, 0.6252, 0.9240)
O (0.3661, 0.8748, 0.9240)
O (0.3995, 0.5641, 0.2933)
O (0.3995, 0.9359, 0.2933)
O (0.4183, 0.7500, 0.2073)
O (0.4459, 0.1667, 0.3857)
O (0.4459, 0.3333, 0.3857)
O (0.4620, 0.1172, 0.9433)
O (0.4620, 0.3828, 0.9433)
O (0.5380, 0.6172, 0.0567)
O (0.5380, 0.8828, 0.0567)
O (0.5541, 0.6667, 0.6143)
O (0.5541, 0.8333, 0.6143)
O (0.5817, 0.2500, 0.7927)
O (0.6005, 0.0641, 0.7067)
O (0.6005, 0.4359, 0.7067)
O (0.6339, 0.1252, 0.0760)
O (0.6339, 0.3748, 0.0760)
O (0.6682, 0.7500, 0.1691)
O (0.6727, 0.5608, 0.2955)
O (0.6727, 0.9392, 0.2955)
O (0.6904, 0.7500, 0.6312)
O (0.7212, 0.6004, 0.9490)
O (0.7212, 0.8996, 0.9490)
O (0.7788, 0.1004, 0.4490)
O (0.7788, 0.3996, 0.4490)
O (0.8096, 0.2500, 0.1312)
O (0.8273, 0.0608, 0.7955)
O (0.8273, 0.4392, 0.7955)
O (0.8318, 0.2500, 0.6691)
O (0.8661, 0.6252, 0.5760)
O (0.8661, 0.8748, 0.5760)
O (0.8995, 0.5641, 0.2067)
O (0.8995, 0.9359, 0.2067)
O (0.9183, 0.7500, 0.2927)
O (0.9459, 0.1667, 0.1143)
O (0.9459, 0.3333, 0.1143)
O (0.9620, 0.1172, 0.5567)
O (0.9620, 0.3828, 0.5567)

(4)
VASP calculation (PBE) on a geometry-optimized NaEuCl4 structure.

Output
formation energy: -2.246 eV per atom
E_tot: -59.993 eV per cell
space-group type: P-1, No. 2
calculated density: 3.11 g/cm³
crystal system: triclinic

Cell lengths 6.9511, 7.0189, 7.1115 Å; angles 89.41, 88.02, 77.55 degrees
Positions (direct):
Na (0.2316, 0.1954, 0.0348)
Na (0.7684, 0.8046, 0.9652)
Eu (0.2116, 0.6954, 0.4491)
Eu (0.7884, 0.3046, 0.5509)
Cl (0.0469, 0.5034, 0.7461)
Cl (0.0913, 0.0027, 0.7125)
Cl (0.3922, 0.7978, 0.1304)
Cl (0.4329, 0.3101, 0.3773)
Cl (0.5671, 0.6899, 0.6227)
Cl (0.6078, 0.2022, 0.8696)
Cl (0.9087, 0.9973, 0.2875)
Cl (0.9531, 0.4966, 0.2539)

(5)
VASP calculation (PBE) on a geometry-optimized ZrMn6Ga2Sn4 structure.

Output
formation energy: -0.115 eV per atom
E_tot: -87.107 eV per cell
space-group type: P6/mmm, No. 191
calculated density: 7.87 g/cm³
crystal system: hexagonal

Cell lengths 5.3598, 5.3598, 8.7813 Å; angles 90.00, 90.00, 120.00 degrees
Positions (direct):
Zr (0.0000, 0.0000, 0.0000)
Mn (0.0000, 0.5000, 0.2552)
Mn (0.0000, 0.5000, 0.7448)
Mn (0.5000, 0.0000, 0.2552)
Mn (0.5000, 0.0000, 0.7448)
Mn (0.5000, 0.5000, 0.2552)
Mn (0.5000, 0.5000, 0.7448)
Ga (0.3333, 0.6667, 0.5000)
Ga (0.6667, 0.3333, 0.5000)
Sn (0.0000, 0.0000, 0.3354)
Sn (0.0000, 0.0000, 0.6646)
Sn (0.3333, 0.6667, 0.0000)
Sn (0.6667, 0.3333, 0.0000)

(6)
VASP calculation (PBE) on a geometry-optimized Li3CuB3O7 structure.

Output
formation energy: -2.451 eV per atom
E_tot: -188.014 eV per cell
space-group type: P-1, No. 2
calculated density: 2.63 g/cm³
crystal system: triclinic

Cell lengths 3.4234, 8.8642, 9.5866 Å; angles 84.02, 89.63, 86.58 degrees
Positions (direct):
Li (0.0037, 0.0935, 0.1391)
Li (0.0250, 0.7442, 0.4580)
Li (0.4886, 0.9711, 0.3654)
Li (0.5114, 0.0289, 0.6346)
Li (0.9750, 0.2558, 0.5420)
Li (0.9963, 0.9065, 0.8609)
Cu (0.3899, 0.3352, 0.0390)
Cu (0.6101, 0.6648, 0.9610)
B (0.0594, 0.2101, 0.8034)
B (0.2385, 0.4864, 0.7548)
B (0.4485, 0.7464, 0.6635)
B (0.5515, 0.2536, 0.3365)
B (0.7615, 0.5136, 0.2452)
B (0.9406, 0.7899, 0.1966)
O (0.0172, 0.9058, 0.2735)
O (0.0956, 0.3533, 0.7175)
O (0.1023, 0.1942, 0.9460)
O (0.2703, 0.6063, 0.6509)
O (0.3489, 0.4988, 0.8889)
O (0.4803, 0.2001, 0.2093)
O (0.4860, 0.1698, 0.4601)
O (0.5140, 0.8302, 0.5399)
O (0.5197, 0.7999, 0.7907)
O (0.6511, 0.5012, 0.1111)
O (0.7297, 0.3937, 0.3491)
O (0.8977, 0.8058, 0.0540)
O (0.9044, 0.6467, 0.2825)
O (0.9828, 0.0942, 0.7265)

(7)
VASP calculation (PBE) on a geometry-optimized MgNiWS4 structure.

Output
formation energy: -0.812 eV per atom
E_tot: -81.115 eV per cell
space-group type: Cm, No. 8
calculated density: 4.94 g/cm³
crystal system: monoclinic

Cell lengths 7.3049, 7.3049, 7.2383 Å; angles 119.66, 119.66, 56.12 degrees
Positions (direct):
Mg (0.0000, 0.0000, 0.0000)
Mg (0.2320, 0.2320, 0.7327)
Ni (0.6161, 0.6161, 0.3663)
Ni (0.6160, 0.6160, 0.8665)
W (0.1167, 0.6154, 0.3664)
W (0.6154, 0.1167, 0.3664)
S (0.3772, 0.8136, 0.5959)
S (0.3787, 0.3787, 0.1412)
S (0.3787, 0.3787, 0.6168)
S (0.4184, 0.8550, 0.1369)
S (0.8136, 0.3772, 0.5959)
S (0.8534, 0.8534, 0.1165)
S (0.8534, 0.8534, 0.5911)
S (0.8550, 0.4184, 0.1369)

(8)
VASP calculation (PBE) on a geometry-optimized PaCdPt2 structure.

Output
formation energy: -0.736 eV per atom
E_tot: -25.526 eV per cell
space-group type: Fm-3m, No. 225
calculated density: 15.00 g/cm³
crystal system: cubic

Cell lengths 4.8613, 4.8613, 4.8613 Å; angles 60.00, 60.00, 60.00 degrees
Positions (direct):
Pa (0.0000, 0.0000, 0.0000)
Cd (0.5000, 0.5000, 0.5000)
Pt (0.2500, 0.2500, 0.2500)
Pt (0.7500, 0.7500, 0.7500)

(9)
VASP calculation (PBE) on a geometry-optimized Cs2KMnC6N6 structure.

Output
formation energy: -0.267 eV per atom
E_tot: -239.114 eV per cell
space-group type: P2_1/c, No. 14
calculated density: 2.41 g/cm³
crystal system: monoclinic

Cell lengths 7.7083, 8.2235, 13.5868 Å; angles 90.00, 124.30, 90.00 degrees
Positions (direct):
Cs (0.2275, 0.0700, 0.2493)
Cs (0.2275, 0.4300, 0.7493)
Cs (0.7725, 0.5700, 0.2507)
Cs (0.7725, 0.9300, 0.7507)
K (0.0000, 0.0000, 0.5000)
K (0.0000, 0.5000, 0.0000)
Mn (0.5000, 0.0000, 0.0000)
Mn (0.5000, 0.5000, 0.5000)
C (0.2552, 0.1286, 0.9673)
C (0.2552, 0.3714, 0.4673)
C (0.3339, 0.7032, 0.4597)
C (0.3339, 0.7968, 0.9597)
C (0.4037, 0.0229, 0.8315)
C (0.4037, 0.4771, 0.3315)
C (0.5963, 0.5229, 0.6685)
C (0.5963, 0.9771, 0.1685)
C (0.6661, 0.2032, 0.0403)
C (0.6661, 0.2968, 0.5403)
C (0.7448, 0.6286, 0.5327)
C (0.7448, 0.8714, 0.0327)
N (0.1085, 0.2052, 0.9457)
N (0.1085, 0.2948, 0.4457)
N (0.2327, 0.6774, 0.9339)
N (0.2327, 0.8226, 0.4339)
N (0.3489, 0.0411, 0.7319)
N (0.3489, 0.4589, 0.2319)
N (0.6511, 0.5411, 0.7681)
N (0.6511, 0.9589, 0.2681)
N (0.7673, 0.1774, 0.5661)
N (0.7673, 0.3226, 0.0661)
N (0.8915, 0.7052, 0.5543)
N (0.8915, 0.7948, 0.0543)

(10)
VASP calculation (PBE) on a geometry-optimized Er21In4Rh10 structure.

Output
formation energy: -0.718 eV per atom
E_tot: -411.423 eV per cell
space-group type: I4/mcm, No. 140
calculated density: 9.88 g/cm³
crystal system: tetragonal

Cell lengths 14.9131, 14.9131, 14.9131 Å; angles 134.14, 134.14, 66.87 degrees
Positions (direct):
Er (0.0058, 0.7291, 0.8747)
Er (0.0120, 0.7307, 0.1254)
Er (0.1022, 0.6022, 0.5000)
Er (0.1053, 0.2307, 0.7187)
Er (0.1134, 0.9880, 0.7187)
Er (0.1311, 0.0058, 0.2767)
Er (0.1456, 0.8689, 0.8747)
Er (0.1505, 0.3495, 0.5000)
Er (0.2291, 0.5058, 0.8747)
Er (0.2307, 0.5120, 0.1254)
Er (0.2500, 0.7500, 0.5000)
Er (0.2693, 0.3947, 0.2813)
Er (0.2709, 0.1456, 0.2767)
Er (0.3495, 0.8495, 0.1990)
Er (0.3544, 0.2291, 0.7233)
Er (0.3689, 0.6456, 0.8747)
Er (0.3866, 0.1053, 0.8746)
Er (0.3947, 0.1134, 0.1254)
Er (0.3978, 0.8978, 0.5000)
Er (0.4880, 0.6134, 0.7187)
Er (0.4942, 0.3689, 0.7233)
Er (0.5058, 0.6311, 0.2767)
Er (0.5120, 0.3866, 0.2813)
Er (0.6022, 0.1022, 0.5000)
Er (0.6053, 0.8866, 0.8746)
Er (0.6134, 0.8947, 0.1254)
Er (0.6311, 0.3544, 0.1253)
Er (0.6456, 0.7709, 0.2767)
Er (0.6505, 0.1505, 0.8010)
Er (0.7291, 0.8544, 0.7233)
Er (0.7307, 0.6053, 0.7187)
Er (0.7500, 0.2500, 0.5000)
Er (0.7693, 0.4880, 0.8746)
Er (0.7709, 0.4942, 0.1253)
Er (0.8495, 0.6505, 0.5000)
Er (0.8544, 0.1311, 0.1253)
Er (0.8689, 0.9942, 0.7233)
Er (0.8866, 0.0120, 0.2813)
Er (0.8947, 0.7693, 0.2813)
Er (0.8978, 0.3978, 0.5000)
Er (0.9880, 0.2693, 0.8746)
Er (0.9942, 0.2709, 0.1253)
In (0.0287, 0.5287, 0.1874)
In (0.1587, 0.9713, 0.5000)
In (0.3413, 0.8413, 0.8126)
In (0.4713, 0.6587, 0.5000)
In (0.5287, 0.3413, 0.5000)
In (0.6587, 0.1587, 0.1874)
In (0.8413, 0.0287, 0.5000)
In (0.9713, 0.4713, 0.8126)
Rh (0.0000, 0.0000, 0.0000)
Rh (0.0778, 0.2078, 0.5000)
Rh (0.0974, 0.5974, 0.6948)
Rh (0.1314, 0.1314, 0.0000)
Rh (0.2078, 0.7078, 0.1301)
Rh (0.2500, 0.2500, 0.0000)
Rh (0.2922, 0.4222, 0.5000)
Rh (0.3686, 0.3686, 0.0000)
Rh (0.4026, 0.0974, 0.5000)
Rh (0.4222, 0.9222, 0.1301)
Rh (0.5000, 0.5000, 0.0000)
Rh (0.5778, 0.0778, 0.8699)
Rh (0.5974, 0.9026, 0.5000)
Rh (0.6314, 0.6314, 0.0000)
Rh (0.7078, 0.5778, 0.5000)
Rh (0.7500, 0.7500, 0.0000)
Rh (0.7922, 0.2922, 0.8699)
Rh (0.8686, 0.8686, 0.0000)
Rh (0.9026, 0.4026, 0.3052)
Rh (0.9222, 0.7922, 0.5000)

Q: What is the E_tot in the sixth record?
A: -188.014 eV per cell

Q: Which value of formation energy does entry 2 give?
A: -2.881 eV per atom

Q: What is the E_tot in the eighth record?
A: -25.526 eV per cell

Q: Which of these has the lowest E_tot?
A: BaNa2Nd2Si4CO15